Entry 1:
VASP calculation (PBE with a Hubbard U) on a relaxed Li2CoO3 crystal.

abc: 2.9789 5.0667 7.4676
angles: 75.75 81.15 75.80
Atoms (fractional coordinates):
Li: 0.5000 0.0000 0.5000
Li: 0.1673 0.5104 0.6651
O: 0.5149 0.7693 0.7578
Li: 0.8327 0.4896 0.3349
O: 0.8260 0.2366 0.6103
Co: 0.1560 0.0014 0.1771
O: 0.8461 0.7832 0.0696
O: 0.4851 0.2307 0.2422
O: 0.1740 0.7634 0.3897
Li: 0.5000 0.5000 0.0000
O: 0.1539 0.2168 0.9304
Co: 0.8440 0.9986 0.8229

Computed properties:
- VASP energy (eV per atom) = -5.38

=====

Entry 2:
VASP calculation (PBE with a Hubbard U) on a relaxed Li2Co3O6 crystal.

abc: 4.8776 4.8983 9.9605
angles: 85.11 80.58 60.22
Atoms (fractional coordinates):
Co: 0.6662 0.1645 0.5004
O: 0.0377 0.8324 0.3977
O: 0.8009 0.1831 0.1076
Co: 0.8333 0.8328 0.0078
Li: 0.5842 0.5004 0.7441
O: 0.1991 0.8169 0.8924
Co: 0.0000 0.5000 0.5000
O: 0.3563 0.1770 0.3963
Li: 0.9174 0.8328 0.7473
O: 0.4504 0.8366 0.1043
O: 0.7030 0.4951 0.3987
O: 0.5496 0.1634 0.8957
Co: 0.3338 0.8355 0.4996
O: 0.1438 0.4825 0.1036
O: 0.6437 0.8230 0.6037
Co: 0.5000 0.5000 0.0000
Co: 0.1667 0.1672 0.9922
Li: 0.0826 0.1672 0.2527
O: 0.9623 0.1676 0.6023
O: 0.8562 0.5175 0.8964
Li: 0.4158 0.4996 0.2559
O: 0.2970 0.5049 0.6013

Computed properties:
- ΔE to the lowest computed polymorph (kJ/mol of formula units) = 28

=====

Entry 3:
VASP calculation (PBE with a Hubbard U) on a relaxed Li4CoO4 crystal.

abc: 4.8029 8.8291 8.8016
angles: 90.00 90.00 90.00
Atoms (fractional coordinates):
O: 0.4458 0.8688 0.6319
O: 0.5547 0.1185 0.3810
Li: 0.2500 0.8018 0.2500
O: 0.0542 0.1312 0.6319
O: 0.9453 0.3815 0.8810
Li: 0.7500 0.0000 0.5520
Li: 0.2500 0.6982 0.7500
Li: 0.2500 0.3018 0.7500
O: 0.5547 0.8815 0.1190
O: 0.0542 0.8688 0.8681
O: 0.9453 0.6185 0.6190
Li: 0.1846 0.2500 0.0000
Li: 0.3154 0.7500 0.0000
Li: 0.6847 0.2500 0.0000
Li: 0.7500 0.5000 0.4480
O: 0.9453 0.1185 0.1190
Li: 0.7500 0.0000 0.9480
Li: 0.8153 0.7500 0.0000
O: 0.0542 0.6312 0.1319
O: 0.9453 0.8815 0.3810
Co: 0.7500 0.5000 0.7500
Co: 0.2500 0.5000 0.2500
Li: 0.8153 0.2500 0.5000
O: 0.5547 0.3815 0.6190
Li: 0.3154 0.2500 0.5000
Co: 0.2500 0.0000 0.7500
Li: 0.7500 0.5000 0.0520
Li: 0.1846 0.7500 0.5000
Li: 0.2500 0.1983 0.2500
Co: 0.7500 0.0000 0.2500
O: 0.4458 0.6312 0.3681
O: 0.4458 0.1312 0.8681
Li: 0.6847 0.7500 0.5000
O: 0.4458 0.3688 0.1319
O: 0.5547 0.6185 0.8810
O: 0.0542 0.3688 0.3681

Computed properties:
- largest piezoelectric modulus (C/m2) = 0.148
- ΔE to the lowest computed polymorph (kJ/mol of formula units) = 31

=====

Entry 4:
VASP calculation (PBE with a Hubbard U) on a relaxed LiCo2O4 crystal.

abc: 5.6663 5.6657 5.6677
angles: 59.91 90.85 61.04
Atoms (fractional coordinates):
O: 0.7166 0.0235 0.7397
O: 0.7341 0.5290 0.7050
Co: 0.5000 0.0000 0.5000
O: 0.2637 0.4762 0.7403
O: 0.2663 0.0285 0.7369
Co: 0.5000 0.0000 0.0000
O: 0.2834 0.9765 0.2603
Co: 0.5000 0.5000 0.5000
Co: 0.0000 0.5000 0.5000
O: 0.7363 0.5238 0.2597
Li: 0.0000 0.5000 0.0000
Li: 0.0000 0.0000 0.5000
O: 0.2659 0.4710 0.2950
O: 0.7337 0.9715 0.2631

Computed properties:
- ΔE to the lowest computed polymorph (kJ/mol of formula units) = 48

=====

Entry 5:
VASP calculation (PBE with a Hubbard U) on a relaxed Li2CoO3 crystal.

abc: 9.1055 9.1055 3.2716
angles: 90.00 90.00 90.00
Atoms (fractional coordinates):
O: 0.4065 0.5935 0.0000
O: 0.9065 0.9065 0.5000
O: 0.9017 0.3003 0.5000
O: 0.1997 0.4017 0.0000
O: 0.3003 0.9017 0.5000
O: 0.0983 0.6997 0.5000
O: 0.4017 0.1997 0.0000
Li: 0.8200 0.3881 0.0000
Li: 0.3200 0.1119 0.5000
Li: 0.6800 0.8881 0.5000
Li: 0.6119 0.1800 0.0000
O: 0.5983 0.8003 0.0000
O: 0.0935 0.0935 0.5000
Co: 0.1103 0.8897 0.5000
Li: 0.1800 0.6119 0.0000
Co: 0.6103 0.6103 0.0000
Li: 0.3881 0.8200 0.0000
O: 0.8003 0.5983 0.0000
Li: 0.1119 0.3200 0.5000
Li: 0.8881 0.6800 0.5000
Co: 0.8897 0.1103 0.5000
O: 0.5935 0.4065 0.0000
Co: 0.3897 0.3897 0.0000
O: 0.6997 0.0983 0.5000

Computed properties:
- VASP energy (eV per atom) = -5.31

=====

Entry 6:
VASP calculation (PBE with a Hubbard U) on a relaxed Li3Co4O8 crystal.

abc: 5.8030 5.6833 5.8724
angles: 120.45 60.27 92.09
Atoms (fractional coordinates):
Li: 0.9974 0.5019 0.0040
O: 0.7861 0.7318 0.9482
Co: 0.9991 0.5009 0.5018
Li: 0.4910 0.5093 0.5179
Li: 0.4986 0.0024 0.0042
O: 0.2119 0.2703 0.0554
O: 0.7762 0.2418 0.4947
O: 0.2218 0.7767 0.0500
Co: 0.9977 0.0021 0.0029
Co: 0.9995 0.0006 0.5011
O: 0.7870 0.7388 0.5008
O: 0.7782 0.2234 0.9498
O: 0.2113 0.2630 0.5026
Co: 0.4994 0.5008 0.0032
O: 0.2219 0.7600 0.5088

Computed properties:
- ΔE to the lowest computed polymorph (kJ/mol of formula units) = 115